Entry 1:
LiMnCo3O8 PBE+U relaxed; energy of formation from the pure elements = -1.44 eV per atom; calculated volume = 286.5 Å³ per cell; energy above the most stable polymorph in this dataset = 0.028 eV/atom
1.0
5.692 0.000 0.000
0.035 6.112 0.000
0.003 0.562 8.235
Li Mn Co O
2 2 6 16
direct
0.000 0.000 0.000
0.498 0.503 0.490
0.500 0.007 0.492
0.997 0.502 0.994
0.248 0.254 0.241
0.249 0.754 0.744
0.497 0.503 0.993
0.746 0.255 0.241
0.749 0.754 0.745
0.999 0.010 0.491
0.000 0.462 0.224
0.001 0.051 0.247
0.002 0.955 0.742
0.247 0.714 0.976
0.249 0.291 0.009
0.255 0.227 0.471
0.262 0.780 0.518
0.494 0.047 0.260
0.494 0.462 0.222
0.499 0.549 0.760
0.500 0.960 0.729
0.737 0.227 0.472
0.745 0.294 0.007
0.745 0.715 0.976
0.746 0.786 0.517
0.997 0.548 0.759


Entry 2:
Li7Mn2Co3O12 PBE+U relaxed; energy of formation from the pure elements = -1.90 eV per atom; calculated volume = 212.5 Å³ per cell; energy above the most stable polymorph in this dataset = 0.037 eV/atom
1.0
5.864 0.000 0.000
1.451 6.333 0.000
2.859 1.458 5.722
Li Mn Co O
7 2 3 12
direct
0.000 0.000 0.000
0.081 0.324 0.162
0.251 0.995 0.499
0.411 0.676 0.835
0.596 0.324 0.161
0.754 0.001 0.492
0.917 0.674 0.831
0.674 0.667 0.327
0.830 0.332 0.669
0.169 0.668 0.326
0.326 0.316 0.676
0.502 0.997 0.004
0.027 0.664 0.113
0.150 0.978 0.240
0.179 0.350 0.433
0.314 0.651 0.552
0.380 0.015 0.746
0.478 0.330 0.899
0.560 0.667 0.091
0.625 0.978 0.249
0.709 0.347 0.426
0.779 0.652 0.574
0.859 0.022 0.748
0.958 0.340 0.890


Entry 3:
Li3MnCoO5 PBE+U relaxed; energy of formation from the pure elements = -1.91 eV per atom; calculated volume = 177.8 Å³ per cell; energy above the most stable polymorph in this dataset = 0.045 eV/atom
1.0
2.896 0.000 0.000
0.001 5.911 0.000
1.444 1.418 10.387
Li Mn Co O
6 2 2 10
direct
0.000 0.000 0.000
0.000 0.500 0.000
0.201 0.599 0.603
0.409 0.211 0.181
0.594 0.787 0.819
0.803 0.400 0.397
0.398 0.699 0.189
0.594 0.301 0.811
0.208 0.097 0.601
0.803 0.902 0.399
0.099 0.076 0.799
0.099 0.521 0.800
0.280 0.669 0.390
0.330 0.135 0.401
0.489 0.747 0.015
0.509 0.253 0.985
0.676 0.330 0.611
0.735 0.864 0.599
0.892 0.924 0.201
0.893 0.478 0.200


Entry 4:
Li7Mn2Co3O12 PBE+U relaxed; energy of formation from the pure elements = -1.90 eV per atom; calculated volume = 215.2 Å³ per cell; energy above the most stable polymorph in this dataset = 0.032 eV/atom
1.0
5.060 0.000 0.000
1.701 5.626 0.000
1.611 1.136 7.559
Li Mn Co O
7 2 3 12
direct
0.000 0.000 0.000
0.002 0.172 0.325
0.005 0.670 0.325
0.009 0.334 0.647
0.493 0.839 0.164
0.507 0.170 0.824
0.510 0.500 0.485
0.006 0.834 0.656
0.502 0.337 0.163
0.006 0.491 0.001
0.504 0.670 0.824
0.506 0.009 0.482
0.244 0.524 0.743
0.248 0.981 0.739
0.253 0.844 0.433
0.256 0.196 0.072
0.265 0.653 0.073
0.279 0.333 0.392
0.726 0.024 0.238
0.730 0.351 0.922
0.739 0.497 0.228
0.754 0.135 0.580
0.769 0.677 0.582
0.776 0.816 0.892


Entry 5:
Li4MnCo2O7 PBE+U relaxed; energy of formation from the pure elements = -1.81 eV per atom; calculated volume = 256.7 Å³ per cell; energy above the most stable polymorph in this dataset = 0.077 eV/atom
1.0
3.028 0.000 0.000
1.063 7.751 0.000
1.358 1.853 10.938
Li Mn Co O
8 2 4 14
direct
0.000 0.000 0.000
0.073 0.214 0.644
0.210 0.642 0.933
0.363 0.067 0.210
0.500 0.500 0.500
0.637 0.933 0.790
0.790 0.358 0.067
0.927 0.786 0.356
0.149 0.431 0.283
0.851 0.569 0.717
0.279 0.858 0.572
0.441 0.272 0.863
0.559 0.728 0.137
0.721 0.142 0.428
0.060 0.121 0.825
0.129 0.320 0.455
0.194 0.544 0.115
0.214 0.750 0.744
0.309 0.968 0.402
0.391 0.193 0.019
0.485 0.389 0.694
0.515 0.611 0.306
0.609 0.807 0.981
0.691 0.032 0.598
0.786 0.250 0.256
0.806 0.456 0.885
0.871 0.680 0.545
0.940 0.879 0.175


Entry 6:
Li7Mn4CoO12 PBE+U relaxed; energy of formation from the pure elements = -2.04 eV per atom; calculated volume = 430.3 Å³ per cell; energy above the most stable polymorph in this dataset = 0.042 eV/atom
1.0
2.931 0.000 0.000
-0.182 5.945 0.000
-0.189 -0.143 24.697
Li Mn Co O
14 8 2 24
direct
0.000 0.000 0.000
0.000 0.500 0.500
0.006 0.489 0.174
0.006 0.989 0.676
0.499 0.249 0.417
0.499 0.251 0.750
0.499 0.748 0.750
0.499 0.748 0.917
0.501 0.252 0.083
0.501 0.252 0.250
0.501 0.749 0.250
0.501 0.751 0.583
0.994 0.011 0.324
0.994 0.511 0.826
0.005 0.994 0.829
0.014 0.495 0.330
0.497 0.246 0.583
0.499 0.749 0.084
0.501 0.251 0.916
0.503 0.754 0.417
0.986 0.505 0.670
0.995 0.006 0.171
0.000 0.000 0.500
0.000 0.500 0.000
0.000 0.002 0.756
0.000 0.998 0.244
0.003 0.501 0.256
0.017 0.015 0.912
0.017 0.518 0.087
0.038 0.007 0.579
0.044 0.513 0.413
0.477 0.276 0.665
0.485 0.778 0.498
0.487 0.779 0.165
0.493 0.780 0.833
0.496 0.255 0.994
0.500 0.280 0.333
0.500 0.720 0.667
0.504 0.745 0.006
0.507 0.220 0.167
0.513 0.221 0.835
0.515 0.222 0.502
0.523 0.724 0.335
0.956 0.487 0.587
0.962 0.993 0.421
0.983 0.482 0.913
0.983 0.985 0.088
0.997 0.499 0.744


Entry 7:
Li7Mn2Co3O12 PBE+U relaxed; energy of formation from the pure elements = -1.89 eV per atom; calculated volume = 212.5 Å³ per cell; energy above the most stable polymorph in this dataset = 0.046 eV/atom
1.0
5.131 0.000 0.000
1.727 5.608 0.000
1.756 1.034 7.386
Li Mn Co O
7 2 3 12
direct
0.000 0.000 0.000
0.000 0.318 0.688
0.002 0.660 0.343
0.003 0.486 0.006
0.004 0.155 0.345
0.501 0.160 0.842
0.996 0.837 0.679
0.501 0.322 0.173
0.505 0.996 0.512
0.493 0.489 0.527
0.502 0.826 0.171
0.503 0.666 0.852
0.256 0.628 0.097
0.264 0.506 0.748
0.270 0.986 0.745
0.278 0.310 0.423
0.285 0.147 0.103
0.292 0.833 0.416
0.705 0.501 0.259
0.727 0.816 0.937
0.730 0.332 0.941
0.731 0.156 0.584
0.732 0.678 0.588
0.734 0.015 0.266


Entry 8:
Li2Mn2CoO6 PBE+U relaxed; energy of formation from the pure elements = -1.89 eV per atom; calculated volume = 230.0 Å³ per cell
1.0
4.416 -2.534 0.000
4.416 2.534 0.000
0.000 0.000 10.276
Li Mn Co O
4 4 2 12
direct
0.170 0.330 0.250
0.330 0.170 0.750
0.670 0.830 0.250
0.830 0.670 0.750
0.163 0.163 0.000
0.337 0.337 0.500
0.663 0.663 0.500
0.837 0.837 0.000
0.000 0.000 0.500
0.500 0.500 0.000
0.003 0.362 0.605
0.138 0.497 0.895
0.148 0.852 0.098
0.352 0.648 0.598
0.362 0.003 0.395
0.497 0.138 0.105
0.503 0.862 0.895
0.638 0.997 0.605
0.648 0.352 0.402
0.852 0.148 0.902
0.862 0.503 0.105
0.997 0.638 0.395


Entry 9:
Li3Mn2Co2O8 PBE+U relaxed; energy of formation from the pure elements = -1.52 eV per atom; calculated volume = 143.1 Å³ per cell; energy above the most stable polymorph in this dataset = 0.285 eV/atom
1.0
5.795 0.000 0.000
-2.734 5.126 0.000
-0.099 -3.324 4.818
Li Mn Co O
3 2 2 8
direct
0.000 0.000 0.000
0.000 0.000 0.500
0.500 0.500 0.000
0.000 0.500 0.500
0.500 0.000 0.500
0.500 0.000 0.000
0.500 0.500 0.500
0.269 0.059 0.735
0.271 0.957 0.289
0.273 0.527 0.744
0.285 0.485 0.277
0.715 0.515 0.723
0.727 0.473 0.256
0.729 0.043 0.711
0.731 0.941 0.265


Entry 10:
Li4MnCo2O7 PBE+U relaxed; energy of formation from the pure elements = -1.85 eV per atom; calculated volume = 252.5 Å³ per cell; energy above the most stable polymorph in this dataset = 0.031 eV/atom
1.0
5.082 0.000 0.000
1.738 4.853 0.000
2.314 0.195 10.238
Li Mn Co O
8 2 4 14
direct
0.000 0.000 0.000
0.070 0.496 0.865
0.209 0.501 0.573
0.363 0.499 0.282
0.500 0.500 0.000
0.637 0.501 0.718
0.791 0.499 0.427
0.930 0.504 0.135
0.139 0.002 0.719
0.861 0.998 0.281
0.285 0.999 0.428
0.421 0.007 0.136
0.579 0.993 0.864
0.715 0.001 0.572
0.027 0.769 0.427
0.102 0.220 0.292
0.162 0.773 0.157
0.275 0.241 0.005
0.316 0.768 0.845
0.386 0.220 0.716
0.443 0.778 0.572
0.557 0.222 0.428
0.614 0.780 0.284
0.684 0.232 0.155
0.725 0.759 0.995
0.838 0.227 0.843
0.898 0.780 0.708
0.973 0.231 0.573


Entry 11:
Li4MnCo2O7 PBE+U relaxed; energy of formation from the pure elements = -1.87 eV per atom; calculated volume = 251.7 Å³ per cell; energy above the most stable polymorph in this dataset = 0.014 eV/atom
1.0
6.440 -1.460 0.000
6.440 1.460 0.000
-5.374 0.000 13.387
Li Mn Co O
8 2 4 14
direct
0.000 0.000 0.000
0.000 0.000 0.500
0.139 0.139 0.209
0.291 0.291 0.928
0.427 0.427 0.642
0.573 0.573 0.358
0.709 0.709 0.072
0.861 0.861 0.791
0.433 0.433 0.139
0.567 0.567 0.861
0.144 0.144 0.715
0.286 0.286 0.429
0.714 0.714 0.571
0.856 0.856 0.285
0.009 0.009 0.761
0.136 0.136 0.952
0.149 0.149 0.470
0.277 0.277 0.671
0.298 0.298 0.184
0.422 0.422 0.385
0.439 0.439 0.888
0.561 0.561 0.112
0.578 0.578 0.615
0.702 0.702 0.816
0.723 0.723 0.329
0.851 0.851 0.530
0.864 0.864 0.048
0.991 0.991 0.239


Entry 12:
Li2Mn2CoO8 PBE+U relaxed; energy of formation from the pure elements = -1.58 eV per atom; calculated volume = 139.4 Å³ per cell
1.0
4.991 -2.886 0.000
4.991 2.886 0.000
-3.359 0.000 4.838
Li Mn Co O
2 2 1 8
direct
0.126 0.126 0.373
0.874 0.874 0.627
0.000 0.500 0.000
0.500 0.000 0.000
0.500 0.500 0.000
0.245 0.245 0.202
0.251 0.709 0.198
0.262 0.262 0.787
0.291 0.749 0.802
0.709 0.251 0.198
0.738 0.738 0.213
0.749 0.291 0.802
0.755 0.755 0.798